! La2ZrSe5, optimized geometry, DFT PBE-GGA; values from VASP
&SYSTEM
  ibrav = 0, nat = 32, ntyp = 3
/
ATOMIC_SPECIES
La 138.91 La.upf
Zr 91.22 Zr.upf
Se 78.96 Se.upf
ATOMIC_POSITIONS crystal
La 0.969 0.002 0.177
La 0.531 0.498 0.677
La 0.031 0.502 0.823
La 0.469 0.998 0.323
La 0.031 0.998 0.823
La 0.469 0.502 0.323
La 0.969 0.498 0.177
La 0.531 0.002 0.677
Zr 0.422 0.750 0.008
Zr 0.078 0.750 0.508
Zr 0.578 0.250 0.992
Zr 0.922 0.250 0.492
Se 0.836 0.963 0.415
Se 0.664 0.537 0.915
Se 0.164 0.463 0.585
Se 0.336 0.037 0.085
Se 0.164 0.037 0.585
Se 0.336 0.463 0.085
Se 0.836 0.537 0.415
Se 0.664 0.963 0.915
Se 0.658 0.750 0.182
Se 0.842 0.750 0.682
Se 0.342 0.250 0.818
Se 0.158 0.250 0.318
Se 0.444 0.750 0.506
Se 0.056 0.750 0.006
Se 0.556 0.250 0.494
Se 0.944 0.250 0.994
Se 0.181 0.750 0.294
Se 0.319 0.750 0.794
Se 0.819 0.250 0.706
Se 0.681 0.250 0.206
CELL_PARAMETERS angstrom
-4.084 5.430 3.936
-3.469 -6.090 4.803
9.243 1.102 8.072
! Crystal system   orthorhombic
! Symmetry   Pnma (62)
! Energy of formation from the pure elements   -2.08 eV per atom
! V   25.7 A^3/atom

! RbAc3, optimized geometry, DFT PBE-GGA; values from VASP
&SYSTEM
  ibrav = 0, nat = 4, ntyp = 2
/
ATOMIC_SPECIES
Rb 85.47 Rb.upf
Ac 227.00 Ac.upf
ATOMIC_POSITIONS crystal
Rb 0.000 0.000 0.000
Ac 0.000 0.500 0.500
Ac 0.500 0.000 0.500
Ac 0.500 0.500 0.000
CELL_PARAMETERS angstrom
-2.296 4.683 2.565
-2.846 1.288 -4.901
-4.517 -3.192 1.785
! Crystal system   cubic
! Energy above the most stable polymorph in this dataset   0 meV per atom
! Symmetry   Pm-3m (221)
! Energy of formation from the pure elements   0.38 eV per atom
! V   49.1 A^3/atom
! Size of the total moment   0.002 μB per cell

! ZrBTe, optimized geometry, DFT PBE-GGA; values from VASP
&SYSTEM
  ibrav = 0, nat = 3, ntyp = 3
/
ATOMIC_SPECIES
Zr 91.22 Zr.upf
B 10.81 B.upf
Te 127.60 Te.upf
ATOMIC_POSITIONS crystal
Zr 0.750 0.750 0.750
B 0.000 0.000 0.000
Te 0.500 0.500 0.500
CELL_PARAMETERS angstrom
0.000 3.239 3.239
3.239 0.000 3.239
3.239 3.239 0.000
! Crystal system   cubic
! Symmetry   F-43m (216)
! Energy of formation from the pure elements   0.62 eV per atom
! V   22.7 A^3/atom
! Size of the total moment   0.529 μB per cell

! TbCuB5O10, optimized geometry, DFT PBE-GGA; values from VASP
&SYSTEM
  ibrav = 0, nat = 34, ntyp = 4
/
ATOMIC_SPECIES
Tb 158.93 Tb.upf
Cu 63.55 Cu.upf
B 10.81 B.upf
O 16.00 O.upf
ATOMIC_POSITIONS crystal
Tb 0.250 0.750 0.500
Tb 0.750 0.250 0.500
Cu 0.000 0.500 0.500
Cu 0.500 0.000 0.500
B 0.250 0.250 0.000
B 0.750 0.750 0.000
B 0.288 0.984 0.075
B 0.909 0.213 0.925
B 0.212 0.287 0.696
B 0.591 0.516 0.304
B 0.712 0.016 0.925
B 0.091 0.787 0.075
B 0.788 0.713 0.304
B 0.409 0.484 0.696
O 0.721 0.962 0.053
O 0.221 0.168 0.759
O 0.377 0.351 0.729
O 0.623 0.649 0.271
O 0.408 0.462 0.241
O 0.123 0.851 0.974
O 0.592 0.538 0.759
O 0.779 0.832 0.241
O 0.092 0.332 0.053
O 0.279 0.038 0.947
O 0.269 0.552 0.600
O 0.952 0.669 0.400
O 0.769 0.169 0.717
O 0.452 0.052 0.283
O 0.048 0.331 0.600
O 0.731 0.448 0.400
O 0.548 0.948 0.717
O 0.231 0.831 0.283
O 0.877 0.149 0.026
O 0.908 0.668 0.947
CELL_PARAMETERS angstrom
-3.198 4.273 6.391
3.198 -4.273 6.391
3.198 4.273 -6.391
! Crystal system   orthorhombic
! Symmetry   Ibam (72)
! Energy of formation from the pure elements   -2.81 eV per atom
! V   10.3 A^3/atom
! Size of the total moment   1.900 μB per cell

! Ho2Ga8Co, optimized geometry, DFT PBE-GGA; values from VASP
&SYSTEM
  ibrav = 0, nat = 11, ntyp = 3
/
ATOMIC_SPECIES
Ho 164.93 Ho.upf
Ga 69.72 Ga.upf
Co 58.93 Co.upf
ATOMIC_POSITIONS crystal
Ho 0.000 0.000 0.694
Ho 0.000 0.000 0.306
Ga 0.500 0.000 0.500
Ga 0.500 0.000 0.883
Ga 0.000 0.500 0.500
Ga 0.000 0.500 0.883
Ga 0.500 0.500 0.304
Ga 0.500 0.500 0.696
Ga 0.000 0.500 0.117
Ga 0.500 0.000 0.117
Co 0.000 0.000 0.000
CELL_PARAMETERS angstrom
4.231 0.000 0.000
0.000 4.231 0.000
0.000 0.000 11.101
! Crystal system   tetragonal
! Symmetry   P4/mmm (123)
! Energy of formation from the pure elements   -0.49 eV per atom
! V   18.1 A^3/atom

! Rb2PrO3, optimized geometry, DFT PBE-GGA; values from VASP
&SYSTEM
  ibrav = 0, nat = 24, ntyp = 3
/
ATOMIC_SPECIES
Rb 85.47 Rb.upf
Pr 140.91 Pr.upf
O 16.00 O.upf
ATOMIC_POSITIONS crystal
Rb 0.996 0.996 0.504
Rb 0.746 0.746 0.254
Rb 0.422 0.422 0.578
Rb 0.578 0.578 0.422
Rb 0.672 0.672 0.828
Rb 0.828 0.828 0.672
Rb 0.504 0.504 0.996
Rb 0.254 0.254 0.746
Pr 0.086 0.086 0.914
Pr 0.914 0.914 0.086
Pr 0.336 0.336 0.164
Pr 0.164 0.164 0.336
O 0.179 0.821 0.821
O 0.142 0.661 0.298
O 0.899 0.298 0.661
O 0.661 0.142 0.899
O 0.298 0.899 0.142
O 0.429 0.071 0.071
O 0.821 0.179 0.179
O 0.952 0.351 0.108
O 0.589 0.108 0.351
O 0.351 0.952 0.589
O 0.108 0.589 0.952
O 0.071 0.429 0.429
CELL_PARAMETERS angstrom
-10.622 -7.078 -0.661
-9.430 -5.162 5.752
-5.171 3.685 -2.429
! Crystal system   orthorhombic
! Symmetry   Fddd (70)
! Energy of formation from the pure elements   -2.23 eV per atom
! V   21.1 A^3/atom
! Size of the total moment   3.999 μB per cell